1.
VASP calculation (PBE) on a relaxed structure of Er3Sn.

a = 6.0871 Å, b = 6.0871 Å, c = 6.0871 Å
α = 135.20°, β = 135.20°, γ = 65.21°
Positions (direct):
Er  0.2500  0.7500  0.5000
Er  0.7500  0.2500  0.5000
Sn  0.0000  0.0000  0.0000
Er  0.5000  0.5000  0.0000

Calculated values
For the energy of formation from the pure elements, the calculation gives -0.380 eV/atom. Its total energy is -4.81 eV per atom. The magnetization is 0.02 Bohr magnetons per cell. The value obtained for the density is 9.34 g/cm3.



2.
VASP calculation (PBE) on a relaxed structure of ErSn2.

a = 8.4286 Å, b = 8.4286 Å, c = 4.3547 Å
α = 90.00°, β = 90.00°, γ = 149.72°
Positions (direct):
Sn  0.7500  0.2500  0.2500
Er  0.0986  0.9014  0.2500
Er  0.9014  0.0986  0.7500
Sn  0.5641  0.4359  0.7500
Sn  0.2500  0.7500  0.7500
Sn  0.4359  0.5641  0.2500

Calculated values
For the energy of formation from the pure elements, the calculation gives -0.560 eV/atom. Its total energy is -4.76 eV per atom. The value obtained for the density is 8.62 g/cm3.



3.
VASP calculation (PBE) on a relaxed structure of Er3Sn7.

a = 14.8259 Å, b = 14.8259 Å, c = 5.8607 Å
α = 90.00°, β = 90.00°, γ = 12.07°
Positions (direct):
Sn  0.5000  0.5000  0.0000
Sn  0.5984  0.5984  0.5000
Sn  0.2010  0.2010  0.5000
Sn  0.8997  0.8997  0.0000
Sn  0.4016  0.4016  0.5000
Sn  0.7990  0.7990  0.5000
Er  0.0000  0.0000  0.5000
Er  0.6974  0.6974  0.0000
Er  0.3026  0.3026  0.0000
Sn  0.1003  0.1003  0.0000

Calculated values
For the energy of formation from the pure elements, the calculation gives -0.141 eV/atom. Its total energy is -4.32 eV per atom. The calculation puts the relative energy among the computed polymorphs at 363 meV/atom. The magnetization is 0.00 Bohr magnetons per cell. The value obtained for the density is 8.22 g/cm3.



4.
VASP calculation (PBE) on a relaxed structure of Er3Sn7.

a = 13.4301 Å, b = 13.4301 Å, c = 4.4097 Å
α = 90.00°, β = 90.00°, γ = 161.03°
Positions (direct):
Er  0.0000  0.0000  0.5000
Sn  0.7891  0.2109  0.5000
Sn  0.2109  0.7891  0.5000
Er  0.3105  0.6895  0.0000
Sn  0.5000  0.5000  0.0000
Er  0.6895  0.3105  0.0000
Sn  0.5976  0.4024  0.5000
Sn  0.9035  0.0965  0.0000
Sn  0.0965  0.9035  0.0000
Sn  0.4024  0.5976  0.5000

Calculated values
For the energy of formation from the pure elements, the calculation gives -0.504 eV/atom. Its total energy is -4.68 eV per atom. The calculation puts the relative energy among the computed polymorphs at 0 meV/atom. The value obtained for the density is 8.56 g/cm3.



5.
VASP calculation (PBE) on a relaxed structure of Er2Sn5.

a = 4.3876 Å, b = 4.4227 Å, c = 19.1105 Å
α = 90.00°, β = 90.00°, γ = 90.00°
Positions (direct):
Sn  0.5000  0.5000  0.0767
Er  0.0000  0.0000  0.3711
Sn  0.5000  0.5000  0.9231
Er  0.5000  0.5000  0.6289
Sn  0.0000  0.0000  0.6591
Sn  0.5000  0.0000  0.7674
Er  0.5000  0.0000  0.2004
Sn  0.0000  0.0000  0.9233
Sn  0.0000  0.0000  0.0769
Er  0.0000  0.5000  0.7996
Sn  0.5000  0.0000  0.5005
Sn  0.5000  0.5000  0.3409
Sn  0.0000  0.5000  0.2326
Sn  0.0000  0.5000  0.4995

Calculated values
For the energy of formation from the pure elements, the calculation gives -0.476 eV/atom. Its total energy is -4.64 eV per atom. The value obtained for the density is 8.31 g/cm3.



6.
VASP calculation (PBE) on a relaxed structure of Er5Sn3.

a = 8.8877 Å, b = 8.8877 Å, c = 6.4957 Å
α = 90.00°, β = 90.00°, γ = 120.00°
Positions (direct):
Sn  0.3950  0.3950  0.2500
Er  0.0000  0.7622  0.7500
Er  0.2378  0.2378  0.7500
Er  0.2378  0.0000  0.2500
Sn  0.6050  0.6050  0.7500
Er  0.6667  0.3333  0.0000
Er  0.7622  0.0000  0.7500
Er  0.6667  0.3333  0.5000
Sn  0.0000  0.6050  0.2500
Sn  0.3950  0.0000  0.7500
Er  0.3333  0.6667  0.0000
Er  0.7622  0.7622  0.2500
Er  0.0000  0.2378  0.2500
Sn  0.0000  0.3950  0.7500
Sn  0.6050  0.0000  0.2500
Er  0.3333  0.6667  0.5000

Calculated values
For the energy of formation from the pure elements, the calculation gives -0.709 eV/atom. Its total energy is -5.07 eV per atom. The value obtained for the density is 8.91 g/cm3.



7.
VASP calculation (PBE) on a relaxed structure of ErZnSn.

a = 4.5221 Å, b = 4.5221 Å, c = 15.3545 Å
α = 90.00°, β = 90.00°, γ = 120.00°
Positions (direct):
Zn  0.6667  0.3333  0.8413
Er  0.0000  0.0000  0.5000
Zn  0.6667  0.3333  0.6587
Sn  0.3333  0.6667  0.8871
Zn  0.3333  0.6667  0.1587
Sn  0.6667  0.3333  0.1129
Er  0.0000  0.0000  0.0000
Zn  0.3333  0.6667  0.3413
Sn  0.3333  0.6667  0.6129
Sn  0.6667  0.3333  0.3871
Er  0.0000  0.0000  0.7500
Er  0.0000  0.0000  0.2500

Calculated values
For the energy of formation from the pure elements, the calculation gives -0.556 eV/atom. Its total energy is -3.84 eV per atom. The value obtained for the density is 8.58 g/cm3.



8.
VASP calculation (PBE) on a relaxed structure of Tb3Er.

a = 5.0123 Å, b = 5.0123 Å, c = 5.0123 Å
α = 90.00°, β = 90.00°, γ = 90.00°
Positions (direct):
Tb  0.5000  0.0000  0.5000
Tb  0.0000  0.5000  0.5000
Tb  0.5000  0.5000  0.0000
Er  0.0000  0.0000  0.0000

Calculated values
For the energy of formation from the pure elements, the calculation gives 0.021 eV/atom. Its total energy is -4.60 eV per atom. The value obtained for the density is 8.49 g/cm3.